Density functional theory data (GGA+U) for a relaxed structure of Li32Ti13Cr3O48.

Cell lengths 5.0874, 8.8460, 19.6508 Å; angles 98.52, 94.63, 90.11 degrees
With the nearest neighbours (Å) after each atom.
Space group P1 (No. 1)
One atom of each set of equivalent atoms:
Li 0.0000 0.0000 0.0000 [1 per cell]  6 O 2.12-2.16
Li 0.9998 0.0027 0.5005 [1 per cell]  6 O 2.10-2.14
Li 0.1134 0.7957 0.3748 [1 per cell]  6 O 2.09-2.28
Li 0.1145 0.7969 0.8754 [1 per cell]  6 O 2.11-2.21
Li 0.1256 0.1266 0.8751 [1 per cell]  6 O 2.05-2.21
Li 0.1302 0.1265 0.3753 [1 per cell]  6 O 2.05-2.24
Li 0.1364 0.4587 0.8758 [1 per cell]  6 O 2.10-2.24
Li 0.1369 0.4577 0.3753 [1 per cell]  6 O 2.10-2.22
Li 0.2502 0.2506 0.7501 [1 per cell]  6 O 2.12-2.16
Li 0.2510 0.2520 0.2504 [1 per cell]  6 O 2.11-2.14
Li 0.3666 0.0473 0.6256 [1 per cell]  6 O 2.10-2.22
Li 0.3667 0.0484 0.1256 [1 per cell]  6 O 2.08-2.26
Li 0.3771 0.3766 0.6251 [1 per cell]  6 O 2.05-2.22
Li 0.3777 0.3772 0.1255 [1 per cell]  6 O 2.05-2.20
Li 0.3815 0.7050 0.1245 [1 per cell]  6 O 2.09-2.24
Li 0.3862 0.7084 0.6258 [1 per cell]  6 O 2.10-2.23
Li 0.4994 0.5026 0.0005 [1 per cell]  6 O 2.09-2.14
Li 0.5001 0.5008 0.5002 [1 per cell]  6 O 2.12-2.15
Li 0.6136 0.2959 0.3758 [1 per cell]  6 O 2.11-2.22
Li 0.6138 0.2969 0.8750 [1 per cell]  6 O 2.08-2.27
Li 0.6250 0.6274 0.3755 [1 per cell]  6 O 2.05-2.21
Li 0.6320 0.6268 0.8755 [1 per cell]  6 O 2.04-2.25
Li 0.6333 0.9558 0.8747 [1 per cell]  6 O 2.09-2.23
Li 0.6360 0.9588 0.3759 [1 per cell]  6 O 2.09-2.23
Li 0.7497 0.7526 0.7506 [1 per cell]  6 O 2.10-2.14
Li 0.7507 0.7520 0.2502 [1 per cell]  6 O 2.11-2.14
Li 0.8644 0.5475 0.6254 [1 per cell]  6 O 2.08-2.27
Li 0.8679 0.5478 0.1252 [1 per cell]  6 O 2.10-2.22
Li 0.8773 0.8765 0.1248 [1 per cell]  6 O 2.05-2.21
Li 0.8819 0.2052 0.6245 [1 per cell]  6 O 2.09-2.24
Li 0.8815 0.8769 0.6255 [1 per cell]  6 O 2.04-2.24
Li 0.8850 0.2065 0.1252 [1 per cell]  6 O 2.09-2.22
Ti 0.0054 0.6683 0.4998 [1 per cell]  6 O 1.94-2.01
Ti 0.0067 0.3379 0.0024 [1 per cell]  6 O 1.93-2.02
Ti 0.2501 0.5860 0.2503 [1 per cell]  6 O 1.97-1.99
Ti 0.2524 0.9176 0.2502 [1 per cell]  6 O 1.96-2.00
Ti 0.2567 0.5881 0.7525 [1 per cell]  6 O 1.93-2.02
Ti 0.4972 0.8350 0.9985 [1 per cell]  6 O 1.95-2.04
Ti 0.5064 0.1677 0.9996 [1 per cell]  6 O 1.94-2.02
Ti 0.5058 0.8385 0.5025 [1 per cell]  6 O 1.93-2.02
Ti 0.7484 0.0848 0.7486 [1 per cell]  6 O 1.95-2.03
Ti 0.7504 0.0861 0.2504 [1 per cell]  6 O 1.97-1.99
Ti 0.7521 0.4179 0.2505 [1 per cell]  6 O 1.97-2.00
Ti 0.7565 0.4175 0.7497 [1 per cell]  6 O 1.94-2.02
Ti 0.9977 0.3356 0.4987 [1 per cell]  6 O 1.95-2.04
Cr 0.2475 0.9173 0.7505 [1 per cell]  6 O 1.91-2.01
Cr 0.4969 0.1673 0.5005 [1 per cell]  6 O 1.91-2.01
Cr 0.9966 0.6670 0.0003 [1 per cell]  6 O 1.91-2.01
O 0.0507 0.0559 0.6926 [1 per cell]  1 Ti 1.96, 1 Cr 2.01, 4 Li 2.04-2.15
O 0.0530 0.4128 0.6934 [1 per cell]  2 Ti 1.94-2.02, 2 Li 2.10-2.15
O 0.0540 0.0542 0.1925 [1 per cell]  2 Ti 1.99-2.00, 4 Li 2.06-2.16
O 0.0546 0.4115 0.1938 [1 per cell]  2 Ti 1.97-1.98, 3 Li 2.11-2.20
O 0.0887 0.7331 0.1939 [1 per cell]  2 Ti 1.97, 3 Li 2.09-2.21
O 0.0910 0.7395 0.6949 [1 per cell]  1 Cr 1.91, 1 Ti 2.02, 2 Li 2.10-2.12
O 0.1593 0.5205 0.5571 [1 per cell]  2 Ti 1.97-1.99, 2 Li 2.08-2.13
O 0.1666 0.5194 0.0571 [1 per cell]  1 Ti 1.93, 1 Cr 1.99, 2 Li 2.09-2.10
O 0.1939 0.8392 0.0558 [1 per cell]  1 Cr 1.96, 1 Ti 1.98, 3 Li 2.10-2.18
O 0.1964 0.2005 0.0579 [1 per cell]  2 Ti 1.96-2.02, 4 Li 2.06-2.16
O 0.1972 0.8428 0.5571 [1 per cell]  2 Ti 1.97-1.98, 3 Li 2.11-2.17
O 0.2068 0.1980 0.5572 [1 per cell]  1 Cr 1.92, 1 Ti 2.04, 2 Li 2.05-2.14
O 0.2997 0.6601 0.9447 [1 per cell]  1 Cr 1.96, 1 Ti 1.96, 3 Li 2.11-2.19
O 0.3005 0.3057 0.4426 [1 per cell]  1 Ti 1.96, 1 Cr 2.01, 4 Li 2.05-2.15
O 0.3032 0.3042 0.9424 [1 per cell]  2 Ti 1.99-2.00, 4 Li 2.05-2.16
O 0.3031 0.6631 0.4437 [1 per cell]  2 Ti 1.94-2.02, 2 Li 2.10-2.14
O 0.3386 0.9827 0.9435 [1 per cell]  2 Ti 1.95-1.98, 2 Li 2.09-2.12
O 0.3413 0.9892 0.4449 [1 per cell]  1 Cr 1.91, 1 Ti 2.01, 2 Li 2.09-2.12
O 0.4125 0.7712 0.3069 [1 per cell]  2 Ti 1.97-1.98, 2 Li 2.09-2.12
O 0.4162 0.7695 0.8072 [1 per cell]  1 Ti 1.93, 1 Cr 1.99, 2 Li 2.10-2.11
O 0.4439 0.0893 0.8058 [1 per cell]  1 Cr 1.96, 1 Ti 1.98, 2 Li 2.10-2.12
O 0.4471 0.4508 0.8082 [1 per cell]  2 Ti 1.96-2.02, 4 Li 2.06-2.16
O 0.4475 0.0925 0.3069 [1 per cell]  2 Ti 1.97-1.98, 3 Li 2.10-2.18
O 0.4477 0.4498 0.3080 [1 per cell]  2 Ti 1.99, 4 Li 2.06-2.17
O 0.5500 0.9101 0.6948 [1 per cell]  1 Cr 1.96, 1 Ti 1.97, 2 Li 2.11-2.12
O 0.5541 0.5544 0.1928 [1 per cell]  2 Ti 1.98-2.00, 4 Li 2.05-2.17
O 0.5536 0.5543 0.6925 [1 per cell]  2 Ti 1.99-2.00, 4 Li 2.05-2.16
O 0.5541 0.9114 0.1934 [1 per cell]  2 Ti 1.96-1.98, 2 Li 2.11-2.13
O 0.5888 0.2332 0.1938 [1 per cell]  2 Ti 1.97-1.98, 4 Li 2.09-2.20
O 0.5891 0.2327 0.6936 [1 per cell]  2 Ti 1.95-1.98, 2 Li 2.09-2.12
O 0.6596 0.0204 0.0567 [1 per cell]  2 Ti 1.97-1.99, 2 Li 2.08-2.13
O 0.6666 0.0195 0.5573 [1 per cell]  1 Ti 1.93, 1 Cr 1.99, 2 Li 2.10
O 0.6942 0.3393 0.5560 [1 per cell]  1 Cr 1.96, 1 Ti 1.98, 3 Li 2.10-2.19
O 0.6971 0.3427 0.0568 [1 per cell]  2 Ti 1.97-1.98, 3 Li 2.11-2.19
O 0.6970 0.7006 0.5583 [1 per cell]  2 Ti 1.97-2.01, 4 Li 2.06-2.16
O 0.7067 0.6979 0.0572 [1 per cell]  1 Cr 1.92, 1 Ti 2.04, 3 Li 2.05-2.14
O 0.7999 0.1602 0.4448 [1 per cell]  1 Cr 1.96, 1 Ti 1.97, 3 Li 2.11-2.19
O 0.8004 0.8057 0.9425 [1 per cell]  1 Ti 1.96, 1 Cr 2.01, 4 Li 2.04-2.15
O 0.8025 0.1629 0.9432 [1 per cell]  2 Ti 1.94-2.02, 2 Li 2.10-2.15
O 0.8035 0.8043 0.4427 [1 per cell]  2 Ti 1.99-2.00, 4 Li 2.05-2.16
O 0.8390 0.4829 0.4436 [1 per cell]  2 Ti 1.95-1.98, 2 Li 2.10-2.12
O 0.8409 0.4895 0.9448 [1 per cell]  1 Cr 1.91, 1 Ti 2.02, 2 Li 2.10-2.12
O 0.9094 0.2705 0.8070 [1 per cell]  2 Ti 1.96-1.99, 2 Li 2.08-2.13
O 0.9127 0.2707 0.3068 [1 per cell]  2 Ti 1.97, 2 Li 2.11-2.12
O 0.9474 0.5925 0.3071 [1 per cell]  2 Ti 1.97-1.98, 4 Li 2.10-2.20
O 0.9474 0.5928 0.8069 [1 per cell]  2 Ti 1.97-1.98, 3 Li 2.11-2.17
O 0.9479 0.9500 0.3080 [1 per cell]  2 Ti 1.99, 4 Li 2.06-2.16
O 0.9565 0.9480 0.8073 [1 per cell]  1 Cr 1.92, 1 Ti 2.03, 3 Li 2.05-2.14

Results
**Electronic total energy**: -663.792 eV/f.u.
**Energy relative to the elements**: -2.84 eV/atom
**MP2020-corrected energy**: -702.765 eV per formula unit
**V**: 9.08 Å³/atom
**Theoretical density**: 3.37 Mg/m³